Material: Na9Nb2Zn4P9O36
Method: DFT, PBE-GGA
State: optimized geometry

Total magnetization = 0.00 μB/f.u.
Offset from the most stable computed form = 0.000 eV/atom
Volume = 12.98 A^3/atom
DFT formation energy = -2.584 eV/atom

Cell and atoms, written as CIF:
```
data_Na9Nb2Zn4P9O36
_chemical_formula_sum 'Na54 Nb12 Zn24 P54 O216'
_space_group_name_H-M_alt 'P 1'
_space_group_IT_number 1
_space_group_name_Hall 'P 1'
_cell_length_a 9.042
_cell_length_b 22.120
_cell_length_c 23.792
_cell_angle_alpha 90.10
_cell_angle_beta 100.91
_cell_angle_gamma 90.02
loop_
_atom_site_label
_atom_site_type_symbol
_atom_site_fract_x
_atom_site_fract_y
_atom_site_fract_z
Na1 Na 0.000 0.000 0.000
Na2 Na 0.001 0.484 0.006
Na3 Na 0.019 0.571 0.682
Na4 Na 0.035 0.745 0.335
Na5 Na 0.053 0.575 0.890
Na6 Na 0.079 0.416 0.561
Na7 Na 0.083 0.317 0.220
Na8 Na 0.091 0.749 0.543
Na9 Na 0.106 0.818 0.221
Na10 Na 0.108 0.244 0.879
Na11 Na 0.143 0.073 0.557
Na12 Na 0.197 0.742 0.795
Na13 Na 0.204 0.083 0.770
Na14 Na 0.212 0.659 0.446
Na15 Na 0.219 0.234 0.122
Na16 Na 0.226 0.575 0.097
Na17 Na 0.233 0.160 0.451
Na18 Na 0.277 0.246 0.334
Na19 Na 0.314 0.074 0.012
Na20 Na 0.317 0.498 0.672
Na21 Na 0.332 0.569 0.350
Na22 Na 0.340 0.001 0.672
Na23 Na 0.343 0.901 0.333
Na24 Na 0.370 0.742 0.002
Na25 Na 0.388 0.573 0.557
Na26 Na 0.404 0.747 0.210
Na27 Na 0.422 0.833 0.886
Na28 Na 0.423 0.317 0.891
Na29 Na 0.454 0.917 0.560
Na30 Na 0.549 0.147 0.120
Na31 Na 0.554 0.655 0.117
Na32 Na 0.562 0.581 0.767
Na33 Na 0.573 0.237 0.793
Na34 Na 0.580 0.408 0.446
Na35 Na 0.634 0.231 0.996
Na36 Na 0.640 0.986 0.337
Na37 Na 0.651 0.414 0.657
Na38 Na 0.652 0.920 0.989
Na39 Na 0.658 0.482 0.330
Na40 Na 0.684 0.575 0.015
Na41 Na 0.739 0.743 0.876
Na42 Na 0.764 0.836 0.562
Na43 Na 0.766 0.332 0.560
Na44 Na 0.770 0.397 0.902
Na45 Na 0.772 0.903 0.236
Na46 Na 0.788 0.087 0.896
Na47 Na 0.842 0.910 0.447
Na48 Na 0.849 0.080 0.098
Na49 Na 0.862 0.737 0.125
Na50 Na 0.868 0.662 0.775
Na51 Na 0.873 0.171 0.771
Na52 Na 0.905 0.254 0.454
Na53 Na 0.969 0.400 0.332
Na54 Na 0.995 0.070 0.351
Nb1 Nb 0.100 0.471 0.222
Nb2 Nb 0.108 0.974 0.223
Nb3 Nb 0.315 0.342 0.668
Nb4 Nb 0.324 0.847 0.670
Nb5 Nb 0.427 0.473 0.892
Nb6 Nb 0.550 0.309 0.114
Nb7 Nb 0.654 0.139 0.331
Nb8 Nb 0.657 0.638 0.333
Nb9 Nb 0.760 0.177 0.562
Nb10 Nb 0.766 0.679 0.559
Nb11 Nb 0.873 0.009 0.778
Nb12 Nb 0.996 0.845 0.000
Zn1 Zn 0.093 0.175 0.223
Zn2 Zn 0.098 0.672 0.223
Zn3 Zn 0.194 0.507 0.448
Zn4 Zn 0.208 0.311 0.447
Zn5 Zn 0.231 0.811 0.445
Zn6 Zn 0.235 0.007 0.449
Zn7 Zn 0.326 0.645 0.669
Zn8 Zn 0.329 0.143 0.668
Zn9 Zn 0.427 0.976 0.890
Zn10 Zn 0.435 0.677 0.890
Zn11 Zn 0.437 0.169 0.889
Zn12 Zn 0.535 0.005 0.111
Zn13 Zn 0.538 0.814 0.114
Zn14 Zn 0.550 0.508 0.115
Zn15 Zn 0.654 0.839 0.338
Zn16 Zn 0.656 0.342 0.335
Zn17 Zn 0.764 0.977 0.556
Zn18 Zn 0.769 0.478 0.554
Zn19 Zn 0.873 0.810 0.777
Zn20 Zn 0.885 0.504 0.778
Zn21 Zn 0.887 0.312 0.781
Zn22 Zn 0.986 0.148 0.003
Zn23 Zn 0.988 0.641 0.002
Zn24 Zn 0.995 0.341 0.002
P1 P 0.001 0.576 0.322
P2 P 0.016 0.911 0.348
P3 P 0.031 0.738 0.670
P4 P 0.064 0.575 0.558
P5 P 0.074 0.409 0.880
P6 P 0.084 0.737 0.902
P7 P 0.111 0.907 0.543
P8 P 0.123 0.237 0.569
P9 P 0.138 0.076 0.890
P10 P 0.171 0.905 0.781
P11 P 0.188 0.739 0.098
P12 P 0.203 0.080 0.125
P13 P 0.221 0.237 0.767
P14 P 0.234 0.579 0.794
P15 P 0.252 0.413 0.111
P16 P 0.285 0.241 0.002
P17 P 0.298 0.079 0.322
P18 P 0.311 0.411 0.349
P19 P 0.339 0.580 0.990
P20 P 0.349 0.908 0.012
P21 P 0.359 0.743 0.334
P22 P 0.392 0.579 0.222
P23 P 0.408 0.410 0.544
P24 P 0.422 0.741 0.570
P25 P 0.448 0.908 0.212
P26 P 0.460 0.246 0.237
P27 P 0.468 0.072 0.558
P28 P 0.516 0.908 0.446
P29 P 0.520 0.739 0.767
P30 P 0.531 0.074 0.791
P31 P 0.558 0.243 0.433
P32 P 0.572 0.575 0.459
P33 P 0.581 0.409 0.779
P34 P 0.615 0.243 0.669
P35 P 0.632 0.074 0.991
P36 P 0.645 0.413 0.014
P37 P 0.667 0.572 0.655
P38 P 0.681 0.904 0.680
P39 P 0.697 0.741 0.003
P40 P 0.726 0.576 0.889
P41 P 0.742 0.413 0.212
P42 P 0.756 0.745 0.237
P43 P 0.778 0.904 0.878
P44 P 0.791 0.243 0.901
P45 P 0.807 0.075 0.223
P46 P 0.841 0.908 0.113
P47 P 0.851 0.742 0.433
P48 P 0.863 0.077 0.459
P49 P 0.892 0.243 0.101
P50 P 0.903 0.578 0.125
P51 P 0.907 0.406 0.446
P52 P 0.952 0.244 0.333
P53 P 0.963 0.072 0.655
P54 P 0.976 0.410 0.680
O1 O 0.004 0.348 0.454
O2 O 0.005 0.065 0.834
O3 O 0.006 0.461 0.437
O4 O 0.014 0.519 0.283
O5 O 0.022 0.737 0.438
O6 O 0.029 0.081 0.454
O7 O 0.030 0.239 0.281
O8 O 0.036 0.407 0.940
O9 O 0.036 0.680 0.930
O10 O 0.040 0.351 0.846
O11 O 0.050 0.634 0.295
O12 O 0.050 0.793 0.941
O13 O 0.058 0.082 0.942
O14 O 0.058 0.961 0.771
O15 O 0.059 0.245 0.774
O16 O 0.061 0.918 0.286
O17 O 0.063 0.572 0.787
O18 O 0.066 0.967 0.385
O19 O 0.068 0.237 0.389
O20 O 0.085 0.846 0.786
O21 O 0.090 0.074 0.068
O22 O 0.099 0.852 0.371
O23 O 0.100 0.569 0.381
O24 O 0.105 0.793 0.061
O25 O 0.120 0.679 0.675
O26 O 0.122 0.403 0.062
O27 O 0.124 0.850 0.506
O28 O 0.133 0.578 0.504
O29 O 0.134 0.078 0.664
O30 O 0.136 0.744 0.156
O31 O 0.139 0.792 0.660
O32 O 0.143 0.680 0.065
O33 O 0.148 0.399 0.673
O34 O 0.154 0.027 0.165
O35 O 0.154 0.245 0.508
O36 O 0.169 0.574 0.990
O37 O 0.171 0.898 0.006
O38 O 0.177 0.965 0.521
O39 O 0.181 0.295 0.993
O40 O 0.183 0.294 0.607
O41 O 0.184 0.139 0.157
O42 O 0.185 0.416 0.169
O43 O 0.187 0.579 0.613
O44 O 0.191 0.180 0.597
O45 O 0.203 0.420 0.287
O46 O 0.209 0.183 0.019
O47 O 0.215 0.135 0.874
O48 O 0.220 0.897 0.605
O49 O 0.224 0.136 0.294
O50 O 0.235 0.738 0.279
O51 O 0.238 0.901 0.723
O52 O 0.240 0.178 0.735
O53 O 0.242 0.022 0.284
O54 O 0.242 0.022 0.900
O55 O 0.244 0.353 0.371
O56 O 0.252 0.419 0.886
O57 O 0.254 0.743 0.902
O58 O 0.257 0.072 0.381
O59 O 0.269 0.290 0.727
O60 O 0.275 0.918 0.218
O61 O 0.280 0.637 0.826
O62 O 0.284 0.525 0.232
O63 O 0.287 0.573 0.736
O64 O 0.288 0.239 0.228
O65 O 0.288 0.739 0.388
O66 O 0.299 0.467 0.386
O67 O 0.301 0.915 0.830
O68 O 0.303 0.638 0.217
O69 O 0.318 0.524 0.831
O70 O 0.322 0.747 0.511
O71 O 0.327 0.469 0.523
O72 O 0.333 0.244 0.824
O73 O 0.338 0.471 0.106
O74 O 0.349 0.078 0.503
O75 O 0.358 0.356 0.504
O76 O 0.360 0.746 0.105
O77 O 0.361 0.399 0.605
O78 O 0.365 0.072 0.117
O79 O 0.365 0.235 0.950
O80 O 0.365 0.357 0.121
O81 O 0.373 0.524 0.951
O82 O 0.373 0.683 0.597
O83 O 0.382 0.967 0.046
O84 O 0.387 0.638 0.962
O85 O 0.387 0.911 0.952
O86 O 0.390 0.241 0.434
O87 O 0.393 0.078 0.610
O88 O 0.402 0.580 0.454
O89 O 0.408 0.798 0.608
O90 O 0.413 0.964 0.434
O91 O 0.418 0.252 0.058
O92 O 0.425 0.852 0.456
O93 O 0.429 0.852 0.042
O94 O 0.434 0.793 0.728
O95 O 0.435 0.078 0.731
O96 O 0.436 0.575 0.050
O97 O 0.447 0.847 0.181
O98 O 0.448 0.800 0.327
O99 O 0.449 0.399 0.725
O100 O 0.464 0.571 0.171
O101 O 0.465 0.745 0.824
O102 O 0.471 0.680 0.735
O103 O 0.471 0.686 0.336
O104 O 0.475 0.081 0.326
O105 O 0.475 0.406 0.341
O106 O 0.479 0.021 0.823
O107 O 0.501 0.578 0.660
O108 O 0.502 0.904 0.678
O109 O 0.505 0.419 0.832
O110 O 0.506 0.249 0.177
O111 O 0.507 0.959 0.180
O112 O 0.509 0.300 0.660
O113 O 0.510 0.298 0.276
O114 O 0.515 0.579 0.280
O115 O 0.523 0.187 0.677
O116 O 0.536 0.412 0.953
O117 O 0.536 0.907 0.274
O118 O 0.541 0.186 0.267
O119 O 0.543 0.134 0.826
O120 O 0.551 0.131 0.962
O121 O 0.559 0.014 0.562
O122 O 0.578 0.744 0.947
O123 O 0.581 0.412 0.555
O124 O 0.584 0.017 0.955
O125 O 0.587 0.127 0.558
O126 O 0.587 0.190 0.390
O127 O 0.590 0.072 0.052
O128 O 0.591 0.904 0.392
O129 O 0.593 0.357 0.048
O130 O 0.594 0.737 0.565
O131 O 0.609 0.585 0.397
O132 O 0.616 0.239 0.895
O133 O 0.618 0.520 0.894
O134 O 0.619 0.912 0.889
O135 O 0.621 0.301 0.413
O136 O 0.624 0.471 0.046
O137 O 0.626 0.748 0.057
O138 O 0.630 0.634 0.881
O139 O 0.642 0.515 0.481
O140 O 0.642 0.913 0.500
O141 O 0.645 0.628 0.499
O142 O 0.647 0.741 0.180
O143 O 0.658 0.229 0.493
O144 O 0.663 0.466 0.763
O145 O 0.670 0.470 0.184
O146 O 0.680 0.353 0.792
O147 O 0.683 0.066 0.171
O148 O 0.683 0.356 0.173
O149 O 0.683 0.515 0.620
O150 O 0.685 0.238 0.613
O151 O 0.692 0.745 0.775
O152 O 0.701 0.913 0.619
O153 O 0.705 0.063 0.786
O154 O 0.711 0.689 0.274
O155 O 0.712 0.628 0.618
O156 O 0.718 0.254 0.106
O157 O 0.722 0.405 0.273
O158 O 0.731 0.573 0.117
O159 O 0.740 0.251 0.721
O160 O 0.740 0.961 0.719
O161 O 0.741 0.803 0.272
O162 O 0.742 0.078 0.281
O163 O 0.743 0.964 0.100
O164 O 0.753 0.848 0.708
O165 O 0.760 0.851 0.129
O166 O 0.765 0.088 0.397
O167 O 0.776 0.577 0.712
O168 O 0.778 0.689 0.393
O169 O 0.780 0.405 0.392
O170 O 0.783 0.802 0.411
O171 O 0.793 0.683 0.011
O172 O 0.797 0.569 0.835
O173 O 0.799 0.846 0.846
O174 O 0.804 0.405 0.003
O175 O 0.805 0.798 0.998
O176 O 0.807 0.079 0.997
O177 O 0.814 0.017 0.481
O178 O 0.815 0.732 0.495
O179 O 0.828 0.581 0.327
O180 O 0.830 0.960 0.844
O181 O 0.833 0.245 0.840
O182 O 0.835 0.130 0.500
O183 O 0.836 0.411 0.500
O184 O 0.837 0.188 0.333
O185 O 0.839 0.301 0.937
O186 O 0.843 0.907 0.338
O187 O 0.845 0.574 0.945
O188 O 0.859 0.301 0.331
O189 O 0.871 0.186 0.930
O190 O 0.881 0.131 0.625
O191 O 0.881 0.183 0.066
O192 O 0.886 0.410 0.618
O193 O 0.887 0.905 0.939
O194 O 0.899 0.131 0.217
O195 O 0.908 0.738 0.612
O196 O 0.911 0.019 0.616
O197 O 0.916 0.018 0.234
O198 O 0.916 0.358 0.712
O199 O 0.917 0.068 0.715
O200 O 0.917 0.899 0.059
O201 O 0.921 0.413 0.214
O202 O 0.922 0.740 0.232
O203 O 0.945 0.237 0.564
O204 O 0.945 0.296 0.069
O205 O 0.948 0.911 0.551
O206 O 0.951 0.631 0.556
O207 O 0.952 0.638 0.157
O208 O 0.958 0.572 0.068
O209 O 0.959 0.746 0.721
O210 O 0.973 0.919 0.166
O211 O 0.974 0.517 0.564
O212 O 0.977 0.471 0.711
O213 O 0.987 0.743 0.842
O214 O 0.988 0.239 0.161
O215 O 0.989 0.524 0.164
O216 O 0.994 0.466 0.850
```